K6Sb14Se6O25 | PBE | relaxed

Results
**Energy of formation**: -1.193 eV per atom
**ρ**: 4.31 g/cm3
**Total moment**: 0.229 μB/atom

Structure (POSCAR):
```
K6Sb14Se6O25
1.0
7.459 -12.920 0.000
7.459 12.920 0.000
0.000 0.000 5.623
K Sb Se O
6 14 6 25
Direct
0.088 0.850 0.752
0.762 0.912 0.752
0.150 0.238 0.752
0.912 0.150 0.248
0.238 0.088 0.248
0.850 0.762 0.248
0.846 0.564 0.743
0.718 0.154 0.743
0.436 0.282 0.743
0.154 0.436 0.257
0.282 0.846 0.257
0.564 0.718 0.257
0.627 0.603 0.752
0.977 0.373 0.752
0.397 0.023 0.752
0.373 0.397 0.248
0.023 0.627 0.248
0.603 0.977 0.248
0.333 0.667 0.885
0.667 0.333 0.115
0.156 0.626 0.734
0.470 0.844 0.734
0.374 0.530 0.734
0.844 0.374 0.266
0.530 0.156 0.266
0.626 0.470 0.266
0.778 0.650 0.755
0.872 0.222 0.755
0.350 0.128 0.755
0.222 0.350 0.245
0.128 0.778 0.245
0.650 0.872 0.245
0.293 0.945 0.003
0.652 0.707 0.003
0.055 0.348 0.003
0.710 0.056 0.496
0.346 0.290 0.496
0.944 0.654 0.496
0.707 0.055 0.997
0.348 0.293 0.997
0.945 0.652 0.997
0.290 0.944 0.504
0.654 0.710 0.504
0.056 0.346 0.504
0.931 0.891 0.646
0.960 0.069 0.646
0.109 0.040 0.646
0.069 0.109 0.354
0.040 0.931 0.354
0.891 0.960 0.354
0.000 0.000 0.000
```